Here is a relaxed structure of In2W3O12 from the Materials Project. Energies are from PBE with a Hubbard U.

* magnetization: 0.00 μB per formula unit
* DFT formation energy: -2078 meV/atom
* space-group type: Pbcn, No. 60
* offset from the most stable computed form: 0.0 kJ per mole of atoms

abc: 13.7068 9.8685 9.9546
angles: 90.00 90.00 90.00
Element x y z (fractional)
In  0.1198  0.2496  0.0362
In  0.1198  0.7504  0.5362
In  0.3802  0.2504  0.5362
In  0.3802  0.7496  0.0362
In  0.6198  0.2504  0.9638
In  0.6198  0.7496  0.4638
In  0.8802  0.2496  0.4638
In  0.8802  0.7504  0.9638
W  0.0000  0.0289  0.7500
W  0.0000  0.9711  0.2500
W  0.1447  0.3959  0.3849
W  0.1447  0.6041  0.8849
W  0.3553  0.1041  0.8849
W  0.3553  0.8959  0.3849
W  0.5000  0.4711  0.2500
W  0.5000  0.5289  0.7500
W  0.6447  0.1041  0.6151
W  0.6447  0.8959  0.1151
W  0.8553  0.3959  0.1151
W  0.8553  0.6041  0.6151
O  0.0266  0.3267  0.4263
O  0.0266  0.6733  0.9263
O  0.0643  0.1335  0.8700
O  0.0643  0.8665  0.3700
O  0.0881  0.0779  0.1651
O  0.0881  0.9221  0.6651
O  0.1438  0.4220  0.9079
O  0.1438  0.5780  0.4079
O  0.1708  0.3606  0.2098
O  0.1708  0.6394  0.7098
O  0.2357  0.3198  0.4932
O  0.2357  0.6802  0.9932
O  0.2643  0.1802  0.9932
O  0.2643  0.8198  0.4932
O  0.3292  0.1394  0.7098
O  0.3292  0.8606  0.2098
O  0.3562  0.0780  0.4079
O  0.3562  0.9220  0.9079
O  0.4119  0.4221  0.6651
O  0.4119  0.5779  0.1651
O  0.4357  0.3665  0.3700
O  0.4357  0.6335  0.8700
O  0.4734  0.1733  0.9263
O  0.4734  0.8267  0.4263
O  0.5266  0.1733  0.5737
O  0.5266  0.8267  0.0737
O  0.5643  0.3665  0.1300
O  0.5643  0.6335  0.6300
O  0.5881  0.4221  0.8349
O  0.5881  0.5779  0.3349
O  0.6438  0.0780  0.0921
O  0.6438  0.9220  0.5921
O  0.6708  0.1394  0.7902
O  0.6708  0.8606  0.2902
O  0.7357  0.1802  0.5068
O  0.7357  0.8198  0.0068
O  0.7643  0.3198  0.0068
O  0.7643  0.6802  0.5068
O  0.8292  0.3606  0.2902
O  0.8292  0.6394  0.7902
O  0.8562  0.4220  0.5921
O  0.8562  0.5780  0.0921
O  0.9119  0.0779  0.3349
O  0.9119  0.9221  0.8349
O  0.9357  0.1335  0.6300
O  0.9357  0.8665  0.1300
O  0.9734  0.3267  0.0737
O  0.9734  0.6733  0.5737

=====

Here is a relaxed structure of In2WO6 from the Materials Project. Energies are from PBE with a Hubbard U.

* magnetization: 0.00 μB per formula unit
* DFT formation energy: -2039 meV/atom
* space-group type: P2/c, No. 13

abc: 7.5040 5.1936 11.8825
angles: 90.00 97.36 90.00
Element x y z (fractional)
In  0.0000  0.2063  0.2500
In  0.0000  0.7937  0.7500
In  0.2678  0.2639  0.8964
In  0.2678  0.7361  0.3964
In  0.5000  0.2797  0.2500
In  0.5000  0.7203  0.7500
In  0.7322  0.2639  0.6036
In  0.7322  0.7361  0.1036
W  0.2364  0.2323  0.6067
W  0.2364  0.7677  0.1067
W  0.7636  0.2323  0.8933
W  0.7636  0.7677  0.3933
O  0.0006  0.0899  0.6177
O  0.0006  0.9101  0.1177
O  0.1652  0.3955  0.4706
O  0.1652  0.6045  0.9706
O  0.1915  0.4893  0.7272
O  0.1915  0.5107  0.2272
O  0.2917  0.0059  0.2629
O  0.2917  0.9941  0.7629
O  0.3411  0.0629  0.0532
O  0.3411  0.9371  0.5532
O  0.4715  0.4119  0.6262
O  0.4715  0.5881  0.1262
O  0.5285  0.4119  0.8738
O  0.5285  0.5881  0.3738
O  0.6589  0.0629  0.4468
O  0.6589  0.9371  0.9468
O  0.7083  0.0059  0.2371
O  0.7083  0.9941  0.7371
O  0.8085  0.4893  0.7728
O  0.8085  0.5107  0.2728
O  0.8348  0.3955  0.0294
O  0.8348  0.6045  0.5294
O  0.9994  0.0899  0.8823
O  0.9994  0.9101  0.3823

=====

Here is a relaxed structure of In2WO6 from the Materials Project. Energies are from PBE with a Hubbard U.

* magnetization: 0.00 μB per formula unit
* DFT formation energy: -2047 meV/atom
* space-group type: P2_12_12_1, No. 19

abc: 5.0039 9.0945 10.2842
angles: 90.00 90.00 90.00
Element x y z (fractional)
In  0.0063  0.1909  0.3529
In  0.0146  0.6315  0.5713
In  0.4854  0.3685  0.0713
In  0.4937  0.8091  0.8529
In  0.5063  0.3091  0.6471
In  0.5146  0.8685  0.4287
In  0.9854  0.1315  0.9287
In  0.9937  0.6909  0.1471
W  0.0141  0.5055  0.8621
W  0.4859  0.4945  0.3621
W  0.5141  0.9945  0.1379
W  0.9859  0.0055  0.6379
O  0.1857  0.8437  0.5510
O  0.1986  0.9848  0.7932
O  0.2173  0.5392  0.0251
O  0.2224  0.6506  0.7696
O  0.2244  0.1488  0.5573
O  0.2321  0.6502  0.3238
O  0.2679  0.3498  0.8238
O  0.2756  0.8512  0.0573
O  0.2776  0.3494  0.2696
O  0.2827  0.4608  0.5251
O  0.3014  0.0152  0.2932
O  0.3143  0.1563  0.0510
O  0.6857  0.6563  0.4490
O  0.6986  0.5152  0.2068
O  0.7173  0.9608  0.9749
O  0.7224  0.8494  0.2304
O  0.7244  0.3512  0.4427
O  0.7321  0.8498  0.6762
O  0.7679  0.1502  0.1762
O  0.7756  0.6488  0.9427
O  0.7776  0.1506  0.7304
O  0.7827  0.0392  0.4749
O  0.8014  0.4848  0.7068
O  0.8143  0.3437  0.9490

=====

Here is a relaxed structure of In2WO6 from the Materials Project. Energies are from PBE with a Hubbard U.

* magnetization: 0.00 μB per formula unit
* DFT formation energy: -2027 meV/atom
* space-group type: Pbca, No. 61

abc: 5.4605 16.0597 10.3808
angles: 90.00 90.00 90.00
Element x y z (fractional)
In  0.0416  0.2288  0.1460
In  0.0416  0.2712  0.6460
In  0.0939  0.0631  0.3581
In  0.0939  0.4369  0.8581
In  0.4061  0.5631  0.3581
In  0.4061  0.9369  0.8581
In  0.4584  0.7288  0.1460
In  0.4584  0.7712  0.6460
In  0.5416  0.2288  0.3540
In  0.5416  0.2712  0.8540
In  0.5939  0.0631  0.1419
In  0.5939  0.4369  0.6419
In  0.9061  0.5631  0.1419
In  0.9061  0.9369  0.6419
In  0.9584  0.7288  0.3540
In  0.9584  0.7712  0.8540
W  0.1088  0.1180  0.8808
W  0.1088  0.3820  0.3808
W  0.3912  0.6180  0.8808
W  0.3912  0.8820  0.3808
W  0.6088  0.1180  0.6192
W  0.6088  0.3820  0.1192
W  0.8912  0.6180  0.6192
W  0.8912  0.8820  0.1192
O  0.0783  0.0198  0.7831
O  0.0783  0.4802  0.2831
O  0.1115  0.6046  0.4893
O  0.1115  0.8954  0.9893
O  0.1181  0.5681  0.9614
O  0.1181  0.9319  0.4614
O  0.1643  0.6735  0.7322
O  0.1643  0.8265  0.2322
O  0.1854  0.6468  0.2290
O  0.1854  0.8532  0.7290
O  0.1984  0.2286  0.9522
O  0.1984  0.2714  0.4522
O  0.3016  0.7286  0.9522
O  0.3016  0.7714  0.4522
O  0.3146  0.1468  0.2290
O  0.3146  0.3532  0.7290
O  0.3357  0.1735  0.7322
O  0.3357  0.3265  0.2322
O  0.3819  0.0681  0.9614
O  0.3819  0.4319  0.4614
O  0.3885  0.1046  0.4893
O  0.3885  0.3954  0.9893
O  0.4217  0.5198  0.7831
O  0.4217  0.9802  0.2831
O  0.5783  0.0198  0.7169
O  0.5783  0.4802  0.2169
O  0.6115  0.6046  0.0107
O  0.6115  0.8954  0.5107
O  0.6181  0.5681  0.5386
O  0.6181  0.9319  0.0386
O  0.6643  0.6735  0.7678
O  0.6643  0.8265  0.2678
O  0.6854  0.6468  0.2710
O  0.6854  0.8532  0.7710
O  0.6984  0.2286  0.5478
O  0.6984  0.2714  0.0478
O  0.8016  0.7286  0.5478
O  0.8016  0.7714  0.0478
O  0.8146  0.1468  0.2710
O  0.8146  0.3532  0.7710
O  0.8357  0.1735  0.7678
O  0.8357  0.3265  0.2678
O  0.8819  0.0681  0.5386
O  0.8819  0.4319  0.0386
O  0.8885  0.1046  0.0107
O  0.8885  0.3954  0.5107
O  0.9217  0.5198  0.7169
O  0.9217  0.9802  0.2169

=====

Here is a relaxed structure of In2WO6 from the Materials Project. Energies are from PBE with a Hubbard U.

* magnetization: 0.00 μB per formula unit
* DFT formation energy: -2068 meV/atom
* space-group type: P2_12_12_1, No. 19

abc: 4.9041 9.0714 20.8937
angles: 90.00 90.00 90.00
Element x y z (fractional)
In  0.0003  0.1934  0.1998
In  0.9997  0.6934  0.3002
In  0.0137  0.2058  0.9333
In  0.0153  0.6393  0.8288
In  0.0162  0.6313  0.0616
In  0.4838  0.3687  0.5616
In  0.4847  0.3607  0.3288
In  0.4863  0.7942  0.4333
In  0.5003  0.3066  0.8002
In  0.4997  0.8066  0.6998
In  0.5137  0.2942  0.0667
In  0.5153  0.8607  0.1712
In  0.5162  0.8687  0.9384
In  0.9838  0.1313  0.4384
In  0.9847  0.1393  0.6712
In  0.9863  0.7058  0.5667
W  0.0142  0.9911  0.8113
W  0.0218  0.9958  0.0605
W  0.4782  0.0042  0.5605
W  0.4858  0.0089  0.3113
W  0.5142  0.5089  0.1887
W  0.5218  0.5042  0.9395
W  0.9782  0.4958  0.4395
W  0.9858  0.4911  0.6887
O  0.1970  0.3356  0.4058
O  0.2027  0.6449  0.3930
O  0.2067  0.3418  0.6446
O  0.2090  0.5200  0.5149
O  0.2129  0.6507  0.6529
O  0.2168  0.4807  0.7651
O  0.2327  0.1335  0.7639
O  0.2360  0.0218  0.1385
O  0.2368  0.8253  0.7821
O  0.2427  0.0170  0.8876
O  0.2461  0.1476  0.0185
O  0.2468  0.8417  0.0254
O  0.2532  0.1583  0.5254
O  0.2539  0.8524  0.5185
O  0.2573  0.9830  0.3876
O  0.2632  0.1747  0.2821
O  0.2640  0.9782  0.6385
O  0.2673  0.8665  0.2639
O  0.2832  0.5193  0.2651
O  0.2871  0.3493  0.1529
O  0.2910  0.4800  0.0149
O  0.2933  0.6582  0.1446
O  0.2973  0.3551  0.8930
O  0.3030  0.6644  0.9058
O  0.6970  0.1644  0.5942
O  0.7027  0.8551  0.6070
O  0.7067  0.1582  0.3554
O  0.7090  0.9800  0.4851
O  0.7129  0.8493  0.3471
O  0.7168  0.0193  0.2349
O  0.7327  0.3665  0.2361
O  0.7360  0.4782  0.8615
O  0.7368  0.6747  0.2179
O  0.7427  0.4830  0.1124
O  0.7461  0.3524  0.9815
O  0.7468  0.6583  0.9746
O  0.7532  0.3417  0.4746
O  0.7539  0.6476  0.4815
O  0.7573  0.5170  0.6124
O  0.7632  0.3253  0.7179
O  0.7640  0.5218  0.3615
O  0.7673  0.6335  0.7361
O  0.7832  0.9807  0.7349
O  0.7871  0.1507  0.8471
O  0.7910  0.0200  0.9851
O  0.7933  0.8418  0.8554
O  0.7973  0.1449  0.1070
O  0.8030  0.8356  0.0942

=====

Here is a relaxed structure of In6WO12 from the Materials Project. Energies are from PBE with a Hubbard U.

* DFT formation energy: -2023 meV/atom
* space-group type: R-3, No. 148

abc: 6.3469 6.3469 6.3469
angles: 99.12 99.12 99.12
Element x y z (fractional)
In  0.1044  0.8238  0.6402
In  0.1762  0.3598  0.8956
In  0.3598  0.8956  0.1762
In  0.6402  0.1044  0.8238
In  0.8238  0.6402  0.1044
In  0.8956  0.1762  0.3598
W  0.5000  0.5000  0.5000
O  0.0860  0.9048  0.3240
O  0.0952  0.6760  0.9140
O  0.2042  0.3971  0.5416
O  0.3240  0.0860  0.9048
O  0.3971  0.5416  0.2042
O  0.4584  0.7958  0.6029
O  0.5416  0.2042  0.3971
O  0.6029  0.4584  0.7958
O  0.6760  0.9140  0.0952
O  0.7958  0.6029  0.4584
O  0.9048  0.3240  0.0860
O  0.9140  0.0952  0.6760

=====

Here is a relaxed structure of MgMo2Ir2O12 from the Materials Project. Energies are from PBE with a Hubbard U.

* magnetization: 1.27 μB per formula unit
* DFT formation energy: -1658 meV/atom
* space-group type: P1, No. 1

abc: 5.1595 5.3618 7.5105
angles: 90.02 90.38 90.10
Element x y z (fractional)
Mg  0.0000  0.0000  0.0000
Mo  0.0283  0.5570  0.2680
Mo  0.5257  0.0677  0.7306
Ir  0.0282  0.5610  0.7563
Ir  0.5243  0.0626  0.2439
O  0.1209  0.6025  0.0024
O  0.2287  0.8529  0.2967
O  0.2340  0.8571  0.7050
O  0.3269  0.3563  0.7077
O  0.3271  0.3570  0.2941
O  0.3923  0.0758  0.0007
O  0.6242  0.0537  0.4967
O  0.7377  0.7743  0.1953
O  0.7429  0.7890  0.8121
O  0.8409  0.2528  0.8158
O  0.8444  0.2524  0.1852
O  0.9295  0.5377  0.5036

=====

Here is a relaxed structure of Mg2VIrO6 from the Materials Project. Energies are from PBE with a Hubbard U.

* magnetization: 0.00 μB per formula unit
* DFT formation energy: -2239 meV/atom
* space-group type: P2_1/c, No. 14

abc: 5.1153 5.2755 9.0385
angles: 90.00 124.27 90.00
Element x y z (fractional)
Mg  0.2385  0.0622  0.2500
Mg  0.2385  0.4378  0.7500
Mg  0.7615  0.5622  0.2500
Mg  0.7615  0.9378  0.7500
V  0.0000  0.0000  0.5000
V  0.0000  0.5000  0.0000
Ir  0.5000  0.0000  0.0000
Ir  0.5000  0.5000  0.5000
O  0.1014  0.1937  0.9309
O  0.1014  0.3063  0.4309
O  0.2424  0.6773  0.9340
O  0.2424  0.8227  0.4340
O  0.3763  0.0586  0.7425
O  0.3763  0.4414  0.2425
O  0.6237  0.5586  0.7575
O  0.6237  0.9414  0.2575
O  0.7576  0.1773  0.5660
O  0.7576  0.3227  0.0660
O  0.8986  0.6937  0.5691
O  0.8986  0.8063  0.0691